No. 1
Here is crystalline HfMg14Zr at its relaxed geometry from the Materials Project. Energies are from PBE-GGA.

Output
Space group ... P-6m2 (187)
Total magnetization ... 0.051 Bohr magnetons per cell
Distance to the lowest polymorph of the same formula ... 0.038 eV per atom
Formation enthalpy at 0 K ... 0.09 eV per atom

Cell lengths 6.4465, 6.4465, 10.0545 Å; angles 90.00, 90.00, 120.00 degrees
Closest atoms and distances in Å follow each position.
Fractional positions:
Hf (0.1667, 0.3333, 0.6250)  12 Mg 3.11-3.22
Mg (0.1693, 0.8346, 0.1250)  10 Mg 3.13-3.25, 2 Zr 3.22
Mg (0.1687, 0.8344, 0.6250)  10 Mg 3.13-3.24, 2 Hf 3.22
Mg (0.6654, 0.3307, 0.1250)  10 Mg 3.13-3.25, 2 Zr 3.22
Mg (0.6656, 0.3313, 0.6250)  10 Mg 3.13-3.24, 2 Hf 3.22
Mg (0.6654, 0.8346, 0.1250)  10 Mg 3.13-3.25, 2 Zr 3.22
Mg (0.6656, 0.8344, 0.6250)  10 Mg 3.13-3.24, 2 Hf 3.22
Mg (0.3312, 0.1688, 0.3752)  1 Hf 3.11, 1 Zr 3.11, 10 Mg 3.13-3.27
Mg (0.3312, 0.1688, 0.8748)  1 Hf 3.11, 1 Zr 3.11, 10 Mg 3.13-3.27
Mg (0.3312, 0.6623, 0.3752)  1 Hf 3.11, 1 Zr 3.11, 10 Mg 3.13-3.27
Mg (0.3312, 0.6623, 0.8748)  1 Hf 3.11, 1 Zr 3.11, 10 Mg 3.13-3.27
Mg (0.8377, 0.1688, 0.3752)  1 Hf 3.11, 1 Zr 3.11, 10 Mg 3.13-3.27
Mg (0.8377, 0.1688, 0.8748)  1 Hf 3.11, 1 Zr 3.11, 10 Mg 3.13-3.27
Mg (0.8333, 0.6667, 0.3748)  12 Mg 3.13-3.22
Mg (0.8333, 0.6667, 0.8752)  12 Mg 3.13-3.22
Zr (0.1667, 0.3333, 0.1250)  12 Mg 3.11-3.22

=====

No. 2
Here is crystalline Y5Sb3F at its relaxed geometry from the Materials Project. Energies are from PBE-GGA.

Output
Space group ... P6_3/mcm (193)
Total magnetization ... 0.000 Bohr magnetons per cell
Formation enthalpy at 0 K ... -1.42 eV per atom

Cell lengths 9.0231, 9.0231, 6.2814 Å; angles 90.00, 90.00, 120.00 degrees
Closest atoms and distances in Å follow each position.
Fractional positions:
Y (0.2580, 0.0000, 0.2500)  2 F 2.81, 2 Sb 3.06
Y (0.7420, 0.0000, 0.7500)  2 F 2.81, 2 Sb 3.06
Y (0.0000, 0.2580, 0.2500)  2 F 2.81, 2 Sb 3.06
Y (0.0000, 0.7420, 0.7500)  2 F 2.81, 2 Sb 3.06
Y (0.7420, 0.7420, 0.2500)  2 F 2.81, 2 Sb 3.06
Y (0.2580, 0.2580, 0.7500)  2 F 2.81, 2 Sb 3.06
Y (0.3333, 0.6667, 0.0000)  2 Y 3.14, 6 Sb 3.21
Y (0.6667, 0.3333, 0.0000)  2 Y 3.14, 6 Sb 3.21
Y (0.6667, 0.3333, 0.5000)  2 Y 3.14, 6 Sb 3.21
Y (0.3333, 0.6667, 0.5000)  2 Y 3.14, 6 Sb 3.21
Sb (0.6152, 0.0000, 0.2500)  9 Y 3.06-3.34
Sb (0.3848, 0.0000, 0.7500)  9 Y 3.06-3.34
Sb (0.0000, 0.6152, 0.2500)  9 Y 3.06-3.34
Sb (0.0000, 0.3848, 0.7500)  9 Y 3.06-3.34
Sb (0.3848, 0.3848, 0.2500)  9 Y 3.06-3.34
Sb (0.6152, 0.6152, 0.7500)  9 Y 3.06-3.34
F (0.0000, 0.0000, 0.0000)  6 Y 2.81, 2 F 3.14
F (0.0000, 0.0000, 0.5000)  6 Y 2.81, 2 F 3.14

=====

No. 3
Here is crystalline YMg14CuO16 at its relaxed geometry from the Materials Project. Energies are from PBE-GGA.

Output
Space group ... P4/mmm (123)
Total magnetization ... 0.001 Bohr magnetons per cell
Distance to the lowest polymorph of the same formula ... 0.000 eV per atom
Formation enthalpy at 0 K ... -2.92 eV per atom

Cell lengths 8.6967, 8.6967, 4.3228 Å; angles 90.00, 90.00, 90.00 degrees
Closest atoms and distances in Å follow each position.
Fractional positions:
Y (0.0000, 0.0000, 0.0000)  6 O 2.16-2.24
Mg (0.5000, 0.0000, 0.0000)  6 O 2.04-2.16
Mg (0.0000, 0.5000, 0.0000)  6 O 2.04-2.16
Mg (0.2649, 0.0000, 0.5000)  5 O 2.04-2.17
Mg (0.7351, 0.0000, 0.5000)  5 O 2.04-2.17
Mg (0.2563, 0.5000, 0.5000)  6 O 2.12-2.23
Mg (0.7437, 0.5000, 0.5000)  6 O 2.12-2.23
Mg (0.0000, 0.2649, 0.5000)  5 O 2.04-2.17
Mg (0.5000, 0.2563, 0.5000)  6 O 2.12-2.23
Mg (0.0000, 0.7351, 0.5000)  5 O 2.04-2.17
Mg (0.5000, 0.7437, 0.5000)  6 O 2.12-2.23
Mg (0.2617, 0.2617, 0.0000)  6 O 2.09-2.28
Mg (0.7383, 0.2617, 0.0000)  6 O 2.09-2.28
Mg (0.2617, 0.7383, 0.0000)  6 O 2.09-2.28
Mg (0.7383, 0.7383, 0.0000)  6 O 2.09-2.28
Cu (0.5000, 0.5000, 0.0000)  6 O 2.16-2.31
O (0.0000, 0.2573, 0.0000)  5 Mg 2.11-2.28, 1 Y 2.24
O (0.5000, 0.2340, 0.0000)  5 Mg 2.04-2.17
O (0.0000, 0.7427, 0.0000)  5 Mg 2.11-2.28, 1 Y 2.24
O (0.5000, 0.7660, 0.0000)  5 Mg 2.04-2.17
O (0.2489, 0.2489, 0.5000)  6 Mg 2.17-2.18
O (0.7511, 0.2489, 0.5000)  6 Mg 2.17-2.18
O (0.2489, 0.7511, 0.5000)  6 Mg 2.17-2.18
O (0.7511, 0.7511, 0.5000)  6 Mg 2.17-2.18
O (0.0000, 0.0000, 0.5000)  2 Y 2.16, 4 Mg 2.30
O (0.5000, 0.0000, 0.5000)  6 Mg 2.04-2.23
O (0.0000, 0.5000, 0.5000)  6 Mg 2.04-2.23
O (0.5000, 0.5000, 0.5000)  4 Mg 2.12, 2 Cu 2.16
O (0.2573, 0.0000, 0.0000)  5 Mg 2.11-2.28, 1 Y 2.24
O (0.7427, 0.0000, 0.0000)  5 Mg 2.11-2.28, 1 Y 2.24
O (0.2340, 0.5000, 0.0000)  5 Mg 2.04-2.17
O (0.7660, 0.5000, 0.0000)  5 Mg 2.04-2.17

=====

No. 4
Here is crystalline MgSn2O4 at its relaxed geometry from the Materials Project. Energies are from PBE-GGA.

Output
Space group ... C2/m (12)
Total magnetization ... 0.000 Bohr magnetons per cell
Distance to the lowest polymorph of the same formula ... 0.183 eV per atom
Formation enthalpy at 0 K ... -1.96 eV per atom

Cell lengths 6.6292, 6.6292, 6.4763 Å; angles 60.93, 60.93, 60.30 degrees
Closest atoms and distances in Å follow each position.
Fractional positions:
Mg (0.1034, 0.1034, 0.6548)  4 O 2.02-2.25
Mg (0.8966, 0.8966, 0.3452)  4 O 2.02-2.25
Sn (0.5000, 0.0000, 0.0000)  6 O 2.08-2.22
Sn (0.5000, 0.5000, 0.0000)  6 O 2.40-2.45
Sn (0.0000, 0.5000, 0.0000)  6 O 2.08-2.22
Sn (0.5000, 0.5000, 0.5000)  6 O 2.43-2.46
O (0.7592, 0.7592, 0.2156)  1 Mg 2.16, 2 Sn 2.21
O (0.2661, 0.7956, 0.2158)  1 Mg 2.02, 1 Sn 2.08
O (0.7581, 0.7581, 0.7653)  3 Sn 2.22-2.45, 1 Mg 2.25
O (0.2044, 0.7339, 0.7842)  1 Mg 2.02, 1 Sn 2.08
O (0.2419, 0.2419, 0.2347)  3 Sn 2.22-2.45, 1 Mg 2.25
O (0.7339, 0.2044, 0.7842)  1 Mg 2.02, 1 Sn 2.08
O (0.7956, 0.2661, 0.2158)  1 Mg 2.02, 1 Sn 2.08
O (0.2408, 0.2408, 0.7844)  1 Mg 2.16, 2 Sn 2.21

=====

No. 5
Here is crystalline Fe2P at its relaxed geometry from the Materials Project. Energies are from PBE-GGA.

Output
Space group ... Imm2 (44)
Total magnetization ... 18.045 Bohr magnetons per cell
Formation enthalpy at 0 K ... -0.46 eV per atom

Cell lengths 6.0513, 6.5167, 6.7315 Å; angles 118.95, 116.71, 90.00 degrees
Closest atoms and distances in Å follow each position.
Fractional positions:
Fe (0.0111, 0.5890, 0.7406)  4 P 2.22-2.35
Fe (0.2705, 0.4110, 0.2594)  4 P 2.22-2.35
Fe (0.0111, 0.1516, 0.7406)  4 P 2.22-2.35
Fe (0.2705, 0.8484, 0.2594)  4 P 2.22-2.35
Fe (0.7481, 0.2172, 0.0000)  4 P 2.21-2.23
Fe (0.7481, 0.7828, 0.0000)  4 P 2.21-2.23
Fe (0.9812, 0.7007, 0.4013)  5 P 2.28-2.45
Fe (0.5798, 0.2993, 0.5987)  5 P 2.28-2.45
Fe (0.0625, 0.2084, 0.4167)  5 P 2.36-2.61, 6 Fe 2.53-2.65
Fe (0.6458, 0.7916, 0.5833)  5 P 2.36-2.61, 6 Fe 2.53-2.65
Fe (0.4279, 0.5000, 0.0000)  4 P 2.47, 6 Fe 2.60-2.67
Fe (0.3851, 0.0000, 0.0000)  5 P 2.14-2.37
P (0.3443, 0.6037, 0.6690)  8 Fe 2.21-2.47
P (0.6753, 0.3963, 0.3310)  8 Fe 2.21-2.47
P (0.3443, 0.0653, 0.6690)  8 Fe 2.21-2.47
P (0.6753, 0.9347, 0.3310)  8 Fe 2.21-2.47
P (0.9530, 0.5000, 0.0000)  8 Fe 2.22-2.28
P (0.0321, 0.0000, 0.0000)  9 Fe 2.14-2.37

=====

No. 6
Here is crystalline LaEuCd2 at its relaxed geometry from the Materials Project. Energies are from PBE-GGA.

Output
Space group ... Fm-3m (225)
Formation enthalpy at 0 K ... -0.34 eV per atom

Cell lengths 5.6256, 5.6256, 5.6256 Å; angles 60.00, 60.00, 60.00 degrees
Closest atoms and distances in Å follow each position.
Fractional positions:
La (0.0000, 0.0000, 0.0000)  8 Cd 3.44
Eu (0.5000, 0.5000, 0.5000)  8 Cd 3.44
Cd (0.7500, 0.7500, 0.7500)  4 Eu 3.44, 4 La 3.44
Cd (0.2500, 0.2500, 0.2500)  4 Eu 3.44, 4 La 3.44

=====

Q: The highest formation enthalpy at 0 K belongs to which entry?
A: HfMg14Zr